# 1
Material: Eu2TiO5
Method: DFT, r2SCAN
State: relaxed

a = 10.6326 Å, b = 3.7889 Å, c = 11.2630 Å
α = 90.00°, β = 90.00°, γ = 90.00°
With the nearest neighbours (Å) after each atom.
Fractional coordinates of all 32 atoms:
Eu 0.1063 0.2500 0.2190  7 O 2.32-2.50
Eu 0.1350 0.2500 0.5613  7 O 2.37-2.45
Eu 0.3650 0.7500 0.0613  7 O 2.37-2.45
Eu 0.3937 0.7500 0.7190  7 O 2.32-2.50
Eu 0.6063 0.2500 0.2810  7 O 2.32-2.50
Eu 0.6350 0.2500 0.9387  7 O 2.37-2.45
Eu 0.8650 0.7500 0.4387  7 O 2.37-2.45
Eu 0.8937 0.7500 0.7810  7 O 2.32-2.50
Ti 0.1832 0.2500 0.8782  5 O 1.78-1.97
Ti 0.3168 0.7500 0.3782  5 O 1.78-1.97
Ti 0.6832 0.2500 0.6218  5 O 1.78-1.97
Ti 0.8168 0.7500 0.1218  5 O 1.78-1.97
O 0.0060 0.7500 0.6035  4 Eu 2.33-2.39
O 0.0204 0.2500 0.8403  1 Ti 1.78
O 0.2281 0.2500 0.0420  1 Ti 1.91
O 0.2321 0.7500 0.2302  1 Ti 1.90
O 0.2342 0.7500 0.8818  2 Ti 1.97
O 0.2658 0.2500 0.3818  2 Ti 1.97
O 0.2679 0.2500 0.7302  1 Ti 1.90
O 0.2719 0.7500 0.5420  1 Ti 1.91
O 0.4796 0.7500 0.3403  1 Ti 1.78
O 0.4940 0.2500 0.1035  4 Eu 2.33-2.39
O 0.5060 0.7500 0.8965  4 Eu 2.33-2.39
O 0.5204 0.2500 0.6597  1 Ti 1.78
O 0.7281 0.2500 0.4580  1 Ti 1.91
O 0.7321 0.7500 0.2698  1 Ti 1.90
O 0.7342 0.7500 0.6182  2 Ti 1.97
O 0.7658 0.2500 0.1182  2 Ti 1.97
O 0.7679 0.2500 0.7698  1 Ti 1.90
O 0.7719 0.7500 0.9580  1 Ti 1.91
O 0.9796 0.7500 0.1597  1 Ti 1.78
O 0.9940 0.2500 0.3965  4 Eu 2.33-2.39

Computed properties:
SG ... Pnma (62)
Magnetization ... 48.00 Bohr magnetons per cell
Uncorrected energy ... -18.230 eV/atom
DFT formation energy ... -2509 kJ/mol of formula units

# 2
Material: YbEuO3
Method: DFT, r2SCAN
State: relaxed

a = 4.2109 Å, b = 4.2109 Å, c = 4.2109 Å
α = 90.00°, β = 90.00°, γ = 90.00°
With the nearest neighbours (Å) after each atom.
Fractional coordinates of all 5 atoms:
Yb 0.0000 0.0000 0.0000  6 O 2.11
Eu 0.5000 0.5000 0.5000  12 O 2.98
O 0.0000 0.0000 0.5000  2 Yb 2.11
O 0.0000 0.5000 0.0000  2 Yb 2.11
O 0.5000 0.0000 0.0000  2 Yb 2.11

Computed properties:
SG ... Pm-3m (221)
Magnetization ... 6.00 Bohr magnetons per cell
Uncorrected energy ... -21.689 eV/atom
DFT formation energy ... -1493 kJ/mol of formula units

# 3
Material: EuPPd
Method: DFT, r2SCAN
State: relaxed

a = 4.1433 Å, b = 4.1433 Å, c = 8.3838 Å
α = 90.00°, β = 90.00°, γ = 120.00°
With the nearest neighbours (Å) after each atom.
Fractional coordinates of all 6 atoms:
Eu 0.0000 0.0000 0.0000  6 Pd 3.18, 6 P 3.18
Eu 0.0000 0.0000 0.5000  6 Pd 3.18, 6 P 3.18
P 0.3333 0.6667 0.2500  3 Pd 2.39
P 0.6667 0.3333 0.7500  3 Pd 2.39
Pd 0.3333 0.6667 0.7500  3 P 2.39
Pd 0.6667 0.3333 0.2500  3 P 2.39

Computed properties:
SG ... P6_3/mmc (194)
Magnetization ... 13.28 Bohr magnetons per cell
Uncorrected energy ... -24.694 eV/atom
DFT formation energy ... -347 kJ/mol of formula units

# 4
Material: EuP2Pd2
Method: DFT, r2SCAN
State: relaxed

a = 5.7236 Å, b = 5.7236 Å, c = 5.7236 Å
α = 137.10°, β = 137.10°, γ = 62.29°
With the nearest neighbours (Å) after each atom.
Fractional coordinates of all 5 atoms:
Eu 0.0000 0.0000 0.0000  8 P 3.16, 8 Pd 3.22
P 0.3875 0.3875 0.0000  1 P 2.20
P 0.6125 0.6125 0.0000  1 P 2.20
Pd 0.2500 0.7500 0.5000  4 P 2.49
Pd 0.7500 0.2500 0.5000  4 P 2.49

Computed properties:
SG ... I4/mmm (139)
Magnetization ... 6.77 Bohr magnetons per cell
Uncorrected energy ... -21.452 eV/atom
DFT formation energy ... -464 kJ/mol of formula units

# 5
Material: EuP12Ru4
Method: DFT, r2SCAN
State: relaxed

a = 6.9849 Å, b = 6.9849 Å, c = 6.9849 Å
α = 109.47°, β = 109.47°, γ = 109.47°
With the nearest neighbours (Å) after each atom.
Fractional coordinates of all 17 atoms:
Eu 0.0000 0.0000 0.0000  12 P 3.12
P 0.1430 0.5022 0.3592  2 P 2.27-2.31, 2 Ru 2.36
P 0.1430 0.7838 0.6408  2 P 2.27-2.31, 2 Ru 2.36
P 0.2162 0.3592 0.8570  2 P 2.27-2.31, 2 Ru 2.36
P 0.3592 0.1430 0.5022  2 P 2.27-2.31, 2 Ru 2.36
P 0.3592 0.8570 0.2162  2 P 2.27-2.31, 2 Ru 2.36
P 0.4978 0.6408 0.8570  2 P 2.27-2.31, 2 Ru 2.36
P 0.5022 0.3592 0.1430  2 P 2.27-2.31, 2 Ru 2.36
P 0.6408 0.1430 0.7838  2 P 2.27-2.31, 2 Ru 2.36
P 0.6408 0.8570 0.4978  2 P 2.27-2.31, 2 Ru 2.36
P 0.7838 0.6408 0.1430  2 P 2.27-2.31, 2 Ru 2.36
P 0.8570 0.2162 0.3592  2 P 2.27-2.31, 2 Ru 2.36
P 0.8570 0.4978 0.6408  2 P 2.27-2.31, 2 Ru 2.36
Ru 0.0000 0.0000 0.5000  6 P 2.36
Ru 0.0000 0.5000 0.0000  6 P 2.36
Ru 0.5000 0.0000 0.0000  6 P 2.36
Ru 0.5000 0.5000 0.5000  6 P 2.36

Computed properties:
SG ... Im-3 (204)
Magnetization ... 6.77 Bohr magnetons per cell
Uncorrected energy ... -15.299 eV/atom
DFT formation energy ... -1143 kJ/mol of formula units

# 6
Material: EuP2Ru2
Method: DFT, r2SCAN
State: relaxed

a = 6.1273 Å, b = 6.1273 Å, c = 6.1273 Å
α = 141.67°, β = 141.67°, γ = 55.32°
With the nearest neighbours (Å) after each atom.
Fractional coordinates of all 5 atoms:
Eu 0.0000 0.0000 0.0000  8 P 3.25, 8 Ru 3.38
P 0.3547 0.3547 0.0000  4 Ru 2.31
P 0.6453 0.6453 0.0000  4 Ru 2.31
Ru 0.2500 0.7500 0.5000  4 P 2.31
Ru 0.7500 0.2500 0.5000  4 P 2.31

Computed properties:
SG ... I4/mmm (139)
Magnetization ... 6.83 Bohr magnetons per cell
Uncorrected energy ... -22.536 eV/atom
DFT formation energy ... -512 kJ/mol of formula units

# 7
Material: EuPd2
Method: DFT, r2SCAN
State: relaxed

a = 5.4949 Å, b = 5.4949 Å, c = 5.4949 Å
α = 60.00°, β = 60.00°, γ = 60.00°
With the nearest neighbours (Å) after each atom.
Fractional coordinates of all 6 atoms:
Eu 0.1250 0.1250 0.1250  12 Pd 3.22, 4 Eu 3.36
Eu 0.8750 0.8750 0.8750  12 Pd 3.22, 4 Eu 3.36
Pd 0.0000 0.5000 0.5000  6 Pd 2.75
Pd 0.5000 0.0000 0.5000  6 Pd 2.75
Pd 0.5000 0.5000 0.0000  6 Pd 2.75
Pd 0.5000 0.5000 0.5000  6 Pd 2.75

Computed properties:
SG ... Fd-3m (227)
Magnetization ... 14.09 Bohr magnetons per cell
Uncorrected energy ... -28.898 eV/atom
DFT formation energy ... -217 kJ/mol of formula units

# 8
Material: EuPd3S4
Method: DFT, r2SCAN
State: relaxed

a = 6.7097 Å, b = 6.7097 Å, c = 6.7097 Å
α = 90.00°, β = 90.00°, γ = 90.00°
With the nearest neighbours (Å) after each atom.
Fractional coordinates of all 16 atoms:
Eu 0.0000 0.0000 0.0000  8 S 2.91
Eu 0.5000 0.5000 0.5000  8 S 2.91
Pd 0.0000 0.2500 0.5000  4 S 2.37
Pd 0.0000 0.7500 0.5000  4 S 2.37
Pd 0.2500 0.5000 0.0000  4 S 2.37
Pd 0.5000 0.0000 0.2500  4 S 2.37
Pd 0.5000 0.0000 0.7500  4 S 2.37
Pd 0.7500 0.5000 0.0000  4 S 2.37
S 0.2500 0.2500 0.2500  3 Pd 2.37
S 0.2500 0.2500 0.7500  3 Pd 2.37
S 0.2500 0.7500 0.2500  3 Pd 2.37
S 0.2500 0.7500 0.7500  3 Pd 2.37
S 0.7500 0.2500 0.2500  3 Pd 2.37
S 0.7500 0.2500 0.7500  3 Pd 2.37
S 0.7500 0.7500 0.2500  3 Pd 2.37
S 0.7500 0.7500 0.7500  3 Pd 2.37

Computed properties:
SG ... Pm-3n (223)
Magnetization ... 13.25 Bohr magnetons per cell
Uncorrected energy ... -18.428 eV/atom
DFT formation energy ... -761 kJ/mol of formula units

# 9
Material: EuSb2Pd2
Method: DFT, r2SCAN
State: relaxed

a = 4.6349 Å, b = 4.6349 Å, c = 10.6917 Å
α = 90.00°, β = 90.00°, γ = 90.00°
With the nearest neighbours (Å) after each atom.
Fractional coordinates of all 10 atoms:
Eu 0.2500 0.2500 0.2412  8 Pd 3.47-3.56, 8 Sb 3.49-3.61
Eu 0.7500 0.7500 0.7588  8 Pd 3.47-3.56, 8 Sb 3.49-3.61
Sb 0.2500 0.2500 0.8723  5 Pd 2.61-2.69
Sb 0.2500 0.7500 0.5000  4 Pd 2.69
Sb 0.7500 0.2500 0.5000  4 Pd 2.69
Sb 0.7500 0.7500 0.1277  5 Pd 2.61-2.69
Pd 0.2500 0.2500 0.6281  5 Sb 2.61-2.69
Pd 0.2500 0.7500 0.0000  4 Sb 2.69
Pd 0.7500 0.2500 0.0000  4 Sb 2.69
Pd 0.7500 0.7500 0.3719  5 Sb 2.61-2.69

Computed properties:
SG ... P4/nmm (129)
Magnetization ... 13.91 Bohr magnetons per cell
Uncorrected energy ... -28.016 eV/atom
DFT formation energy ... -408 kJ/mol of formula units

# 10
Material: EuSbPd
Method: DFT, r2SCAN
State: relaxed

a = 7.6331 Å, b = 4.7059 Å, c = 7.9789 Å
α = 90.00°, β = 90.00°, γ = 90.00°
With the nearest neighbours (Å) after each atom.
Fractional coordinates of all 12 atoms:
Eu 0.0070 0.2500 0.2027  6 Pd 3.22-3.54, 6 Sb 3.26-3.43
Eu 0.4930 0.7500 0.7027  6 Pd 3.22-3.54, 6 Sb 3.26-3.43
Eu 0.5070 0.2500 0.2973  6 Pd 3.22-3.54, 6 Sb 3.26-3.43
Eu 0.9930 0.7500 0.7973  6 Pd 3.22-3.54, 6 Sb 3.26-3.43
Sb 0.1965 0.2500 0.5924  4 Pd 2.73-2.92
Sb 0.3035 0.7500 0.0924  4 Pd 2.73-2.92
Sb 0.6965 0.2500 0.9076  4 Pd 2.73-2.92
Sb 0.8035 0.7500 0.4076  4 Pd 2.73-2.92
Pd 0.1856 0.7500 0.4193  4 Sb 2.73-2.92
Pd 0.3144 0.2500 0.9193  4 Sb 2.73-2.92
Pd 0.6856 0.7500 0.0807  4 Sb 2.73-2.92
Pd 0.8144 0.2500 0.5807  4 Sb 2.73-2.92

Computed properties:
SG ... Pnma (62)
Magnetization ... 27.12 Bohr magnetons per cell
Uncorrected energy ... -30.119 eV/atom
DFT formation energy ... -306 kJ/mol of formula units

Q: The highest uncorrected energy belongs to which entry?
A: EuP12Ru4

Q: Which value of uncorrected energy does entry 9 give?
A: -28.016 eV/atom